A plane-wave DFT calculation with GGA-PBE was carried out for Ba2UTiTe7 after structural relaxation.

abc: 12.710 6.182 18.993
angles: 90.00 90.00 90.00
Sites, in units of the cell vectors:
Ba (0.055, 0.250, 0.223)
Ba (0.176, 0.250, 0.558)
Ba (0.324, 0.750, 0.058)
Ba (0.445, 0.750, 0.723)
Ba (0.555, 0.250, 0.277)
Ba (0.676, 0.250, 0.942)
Ba (0.824, 0.750, 0.442)
Ba (0.945, 0.750, 0.777)
U (0.207, 0.250, 0.877)
U (0.293, 0.750, 0.377)
U (0.707, 0.250, 0.623)
U (0.793, 0.750, 0.123)
Ti (0.000, 0.000, 0.000)
Ti (0.000, 0.500, 0.000)
Ti (0.500, 0.000, 0.500)
Ti (0.500, 0.500, 0.500)
Te (0.039, 0.750, 0.123)
Te (0.081, 0.502, 0.398)
Te (0.081, 0.998, 0.398)
Te (0.140, 0.750, 0.916)
Te (0.178, 0.250, 0.040)
Te (0.192, 0.002, 0.733)
Te (0.192, 0.498, 0.733)
Te (0.308, 0.502, 0.233)
Te (0.308, 0.998, 0.233)
Te (0.322, 0.750, 0.540)
Te (0.360, 0.250, 0.416)
Te (0.419, 0.002, 0.898)
Te (0.419, 0.498, 0.898)
Te (0.461, 0.250, 0.623)
Te (0.539, 0.750, 0.377)
Te (0.581, 0.502, 0.102)
Te (0.581, 0.998, 0.102)
Te (0.640, 0.750, 0.584)
Te (0.678, 0.250, 0.460)
Te (0.692, 0.002, 0.767)
Te (0.692, 0.498, 0.767)
Te (0.808, 0.502, 0.267)
Te (0.808, 0.998, 0.267)
Te (0.822, 0.750, 0.960)
Te (0.860, 0.250, 0.084)
Te (0.919, 0.002, 0.602)
Te (0.919, 0.498, 0.602)
Te (0.961, 0.250, 0.877)

Energy with MP2020 corrections (eV per atom): -5.3852
Magnetization (Bohr magnetons per cell): 0.048
Symmetry: Pnma
Final energy (eV per cell): -225.13
Energy relative to the elements (kJ per mole of atoms): -125